# KMnBP2H2O9 | Materials Project | GGA+U | optimized geometry
data_KMnBP2H2O9
_chemical_formula_sum 'K4 Mn4 B4 P8 H8 O36'
_cell_length_a 6.709
_cell_length_b 12.321
_cell_length_c 9.946
_cell_angle_alpha 90.00
_cell_angle_beta 108.52
_cell_angle_gamma 90.00
_symmetry_space_group_name_H-M 'P 1 21/c 1'
_symmetry_Int_Tables_number 14
loop_
_symmetry_equiv_pos_as_xyz
'x,y,z'
'-x,-y,-z'
'-x,y+1/2,-z+1/2'
'x,-y+1/2,z+1/2'
loop_
_atom_site_label
_atom_site_type_symbol
_atom_site_fract_x
_atom_site_fract_y
_atom_site_fract_z
K1 K 0.149 0.170 0.121
Mn1 Mn 0.396 0.086 0.593
B1 B 0.273 0.531 0.348
P1 P 0.066 0.571 0.833
P2 P 0.500 0.163 0.937
H1 H 0.227 0.671 0.714
H2 H 0.368 0.619 0.208
O1 O 0.044 0.528 0.266
O2 O 0.072 0.112 0.584
O3 O 0.086 0.667 0.731
O4 O 0.288 0.532 0.918
O5 O 0.290 0.622 0.450
O6 O 0.330 0.073 0.925
O7 O 0.403 0.549 0.255
O8 O 0.419 0.234 0.486
O9 O 0.457 0.679 0.705
# Uncorrected energy: -6.889 eV/atom
# Energy of formation from the pure elements: -38.98 eV per formula unit



# Li2Mn3F8 | Materials Project | GGA+U | optimized geometry
data_Li2Mn3F8
_chemical_formula_sum 'Li8 Mn12 F32'
_cell_length_a 6.497
_cell_length_b 12.160
_cell_length_c 8.793
_cell_angle_alpha 90.00
_cell_angle_beta 90.00
_cell_angle_gamma 90.00
_symmetry_space_group_name_H-M 'C m c e'
_symmetry_Int_Tables_number 64
_symmetry_space_group_name_Hall '-C 2ac 2'
loop_
_atom_site_label
_atom_site_type_symbol
_atom_site_fract_x
_atom_site_fract_y
_atom_site_fract_z
Li1 Li 0.000 0.116 0.108
Mn1 Mn 0.000 0.000 0.500
Mn2 Mn 0.250 0.147 0.750
F1 F 0.000 0.016 0.746
F2 F 0.000 0.244 0.232
F3 F 0.249 0.115 0.986
# Uncorrected energy: -5.905 eV/atom
# Energy of formation from the pure elements: -38.84 eV per formula unit



# Mg6AlNiO8 | Materials Project | GGA+U | optimized geometry
data_Mg6AlNiO8
_chemical_formula_sum 'Mg6 Al1 Ni1 O8'
_cell_length_a 4.177
_cell_length_b 4.177
_cell_length_c 8.791
_cell_angle_alpha 90.00
_cell_angle_beta 90.00
_cell_angle_gamma 90.00
_symmetry_space_group_name_H-M 'P 4/m m m'
_symmetry_Int_Tables_number 123
_symmetry_space_group_name_Hall '-P 4 2'
loop_
_atom_site_label
_atom_site_type_symbol
_atom_site_fract_x
_atom_site_fract_y
_atom_site_fract_z
Mg1 Mg 0.000 0.000 0.000
Mg2 Mg 0.000 0.500 0.255
Mg3 Mg 0.500 0.500 0.000
Al1 Al 0.000 0.000 0.500
Ni1 Ni 0.500 0.500 0.500
O1 O 0.000 0.000 0.280
O2 O 0.000 0.500 0.000
O3 O 0.000 0.500 0.500
O4 O 0.500 0.500 0.229
# Uncorrected energy: -5.875 eV/atom
# Energy of formation from the pure elements: -43.33 eV per formula unit



# YTlW2O8 | Materials Project | GGA+U | optimized geometry
data_YTlW2O8
_chemical_formula_sum 'Y4 Tl4 W8 O32'
_cell_length_a 10.960
_cell_length_b 10.672
_cell_length_c 7.491
_cell_angle_alpha 90.00
_cell_angle_beta 130.31
_cell_angle_gamma 90.00
_symmetry_space_group_name_H-M 'C 1 2/c 1'
_symmetry_Int_Tables_number 15
loop_
_symmetry_equiv_pos_as_xyz
'x,y,z'
'-x,-y,-z'
'-x,y,-z+1/2'
'x,-y,z+1/2'
'x+1/2,y+1/2,z'
'-x+1/2,-y+1/2,-z'
'-x+1/2,y+1/2,-z+1/2'
'x+1/2,-y+1/2,z+1/2'
loop_
_atom_site_label
_atom_site_type_symbol
_atom_site_fract_x
_atom_site_fract_y
_atom_site_fract_z
Y1 Y 0.000 0.224 0.250
Tl1 Tl 0.000 0.206 0.750
W1 W 0.195 0.495 0.218
O1 O 0.020 0.390 0.467
O2 O 0.131 0.086 0.190
O3 O 0.187 0.433 0.941
O4 O 0.218 0.156 0.624
# Uncorrected energy: -7.496 eV/atom
# Energy of formation from the pure elements: -29.99 eV per formula unit



# KLiWO3 | Materials Project | GGA+U | optimized geometry
data_KLiWO3
_chemical_formula_sum 'K1 Li1 W1 O3'
_cell_length_a 4.138
_cell_length_b 4.138
_cell_length_c 4.343
_cell_angle_alpha 90.00
_cell_angle_beta 90.00
_cell_angle_gamma 90.00
_symmetry_space_group_name_H-M 'P 4/m m m'
_symmetry_Int_Tables_number 123
_symmetry_space_group_name_Hall '-P 4 2'
loop_
_atom_site_label
_atom_site_type_symbol
_atom_site_fract_x
_atom_site_fract_y
_atom_site_fract_z
K1 K 0.000 0.000 0.000
Li1 Li 0.000 0.000 0.500
W1 W 0.500 0.500 0.500
O1 O 0.000 0.500 0.500
O2 O 0.500 0.500 0.000
# Uncorrected energy: -5.753 eV/atom
# Energy of formation from the pure elements: -10.20 eV per formula unit



# LaCrAgO6 | Materials Project | GGA+U | optimized geometry
data_LaCrAgO6
_chemical_formula_sum 'La2 Cr2 Ag2 O12'
_cell_length_a 4.615
_cell_length_b 7.106
_cell_length_c 9.077
_cell_angle_alpha 90.00
_cell_angle_beta 109.61
_cell_angle_gamma 90.00
_symmetry_space_group_name_H-M 'P 1 c 1'
_symmetry_Int_Tables_number 7
loop_
_symmetry_equiv_pos_as_xyz
'x,y,z'
'x,-y,z+1/2'
loop_
_atom_site_label
_atom_site_type_symbol
_atom_site_fract_x
_atom_site_fract_y
_atom_site_fract_z
La1 La 0.000 0.094 0.000
Cr1 Cr 0.094 0.340 0.667
Ag1 Ag 0.663 0.281 0.247
O1 O 0.261 0.451 0.163
O2 O 0.341 0.163 0.703
O3 O 0.523 0.197 0.026
O4 O 0.814 0.282 0.497
O5 O 0.934 0.352 0.804
O6 O 0.985 0.088 0.272
# Uncorrected energy: -6.433 eV/atom
# Energy of formation from the pure elements: -16.91 eV per formula unit



# Li32Mn13Cr3O48 | Materials Project | GGA+U | optimized geometry
data_Li32Mn13Cr3O48
_chemical_formula_sum 'Li32 Mn13 Cr3 O48'
_cell_length_a 5.011
_cell_length_b 8.703
_cell_length_c 19.463
_cell_angle_alpha 81.63
_cell_angle_beta 85.28
_cell_angle_gamma 89.90
_symmetry_space_group_name_H-M 'P 1'
_symmetry_Int_Tables_number 1
loop_
_symmetry_equiv_pos_as_xyz
'x,y,z'
loop_
_atom_site_label
_atom_site_type_symbol
_atom_site_fract_x
_atom_site_fract_y
_atom_site_fract_z
Li1 Li 0.000 0.000 0.000
Li2 Li 0.000 0.001 0.499
Li3 Li 0.116 0.795 0.124
Li4 Li 0.120 0.795 0.625
Li5 Li 0.235 0.588 0.249
Li6 Li 0.236 0.590 0.749
Li7 Li 0.243 0.919 0.250
Li8 Li 0.244 0.918 0.749
Li9 Li 0.248 0.250 0.750
Li10 Li 0.250 0.250 0.250
Li11 Li 0.366 0.045 0.874
Li12 Li 0.368 0.044 0.375
Li13 Li 0.483 0.838 0.499
Li14 Li 0.485 0.837 0.999
Li15 Li 0.493 0.169 0.500
Li16 Li 0.493 0.169 0.999
Li17 Li 0.502 0.501 0.499
Li18 Li 0.503 0.501 0.999
Li19 Li 0.617 0.295 0.125
Li20 Li 0.618 0.295 0.624
Li21 Li 0.735 0.089 0.249
Li22 Li 0.737 0.090 0.749
Li23 Li 0.742 0.418 0.750
Li24 Li 0.742 0.419 0.250
Li25 Li 0.749 0.749 0.750
Li26 Li 0.750 0.749 0.250
Li27 Li 0.867 0.545 0.875
Li28 Li 0.868 0.544 0.375
Li29 Li 0.984 0.338 0.000
Li30 Li 0.984 0.338 0.500
Li31 Li 0.991 0.669 0.000
Li32 Li 0.994 0.668 0.499
Mn1 Mn 0.116 0.128 0.624
Mn2 Mn 0.117 0.128 0.125
Mn3 Mn 0.117 0.459 0.125
Mn4 Mn 0.120 0.459 0.624
Mn5 Mn 0.367 0.378 0.375
Mn6 Mn 0.367 0.378 0.874
Mn7 Mn 0.367 0.709 0.875
Mn8 Mn 0.368 0.710 0.375
Mn9 Mn 0.616 0.962 0.625
Mn10 Mn 0.620 0.962 0.124
Mn11 Mn 0.867 0.878 0.375
Mn12 Mn 0.868 0.211 0.375
Mn13 Mn 0.869 0.213 0.874
Cr1 Cr 0.612 0.630 0.124
Cr2 Cr 0.622 0.630 0.625
Cr3 Cr 0.862 0.880 0.875
O1 O 0.028 0.063 0.319
O2 O 0.030 0.067 0.818
O3 O 0.064 0.384 0.319
O4 O 0.064 0.385 0.819
O5 O 0.064 0.742 0.318
O6 O 0.066 0.742 0.818
O7 O 0.169 0.845 0.931
O8 O 0.170 0.846 0.431
O9 O 0.171 0.204 0.430
O10 O 0.171 0.204 0.931
O11 O 0.206 0.525 0.930
O12 O 0.207 0.526 0.430
O13 O 0.279 0.312 0.069
O14 O 0.280 0.312 0.569
O15 O 0.314 0.633 0.568
O16 O 0.314 0.991 0.568
O17 O 0.315 0.991 0.068
O18 O 0.318 0.632 0.069
O19 O 0.417 0.452 0.181
O20 O 0.420 0.097 0.181
O21 O 0.420 0.455 0.680
O22 O 0.421 0.098 0.681
O23 O 0.454 0.779 0.681
O24 O 0.460 0.776 0.180
O25 O 0.528 0.563 0.319
O26 O 0.529 0.562 0.819
O27 O 0.564 0.241 0.818
O28 O 0.564 0.884 0.319
O29 O 0.565 0.242 0.318
O30 O 0.568 0.882 0.819
O31 O 0.666 0.702 0.931
O32 O 0.670 0.347 0.431
O33 O 0.670 0.347 0.931
O34 O 0.671 0.704 0.430
O35 O 0.706 0.026 0.430
O36 O 0.709 0.026 0.930
O37 O 0.774 0.812 0.569
O38 O 0.780 0.816 0.068
O39 O 0.815 0.134 0.569
O40 O 0.815 0.135 0.069
O41 O 0.816 0.492 0.068
O42 O 0.819 0.489 0.567
O43 O 0.917 0.595 0.681
O44 O 0.919 0.595 0.181
O45 O 0.920 0.954 0.680
O46 O 0.921 0.954 0.180
O47 O 0.955 0.275 0.180
O48 O 0.956 0.275 0.680
# Uncorrected energy: -6.210 eV/atom
# Energy of formation from the pure elements: -210.17 eV per formula unit



# SrZnP2WO8 | Materials Project | GGA+U | optimized geometry
data_SrZnP2WO8
_chemical_formula_sum 'Sr2 Zn2 P4 W2 O16'
_cell_length_a 5.489
_cell_length_b 7.621
_cell_length_c 9.531
_cell_angle_alpha 104.94
_cell_angle_beta 103.40
_cell_angle_gamma 105.94
_symmetry_space_group_name_H-M 'P -1'
_symmetry_Int_Tables_number 2
loop_
_symmetry_equiv_pos_as_xyz
'x,y,z'
'-x,-y,-z'
loop_
_atom_site_label
_atom_site_type_symbol
_atom_site_fract_x
_atom_site_fract_y
_atom_site_fract_z
Sr1 Sr 0.208 0.283 0.041
Zn1 Zn 0.067 0.131 0.382
P1 P 0.159 0.477 0.710
P2 P 0.484 0.925 0.223
W1 W 0.413 0.678 0.455
O1 O 0.027 0.733 0.392
O2 O 0.037 0.407 0.308
O3 O 0.250 0.051 0.815
O4 O 0.261 0.944 0.104
O5 O 0.292 0.512 0.879
O6 O 0.389 0.722 0.244
O7 O 0.399 0.538 0.638
O8 O 0.430 0.917 0.618
# Uncorrected energy: -6.746 eV/atom
# Energy of formation from the pure elements: -31.31 eV per formula unit



Q: Among the records above, which one has the highest energy of formation from the pure elements?
A: KLiWO3